Entry from the Materials Project database: a relaxed Mg6TiB crystal (PBE-GGA).

Structure (extended XYZ):
```
16
Lattice="4.567 0.000 0.000 0.000 6.299 0.000 0.000 0.000 10.851" Properties=species:S:1:pos:R:3 pbc="T T T"
Mg 0.000 1.496 6.323
Mg 2.284 4.799 9.807
Mg 2.284 0.000 1.797
Mg 2.284 3.149 7.223
Mg 0.000 0.000 3.605
Mg 0.000 3.149 9.031
Mg 0.000 4.645 0.897
Mg 2.284 1.649 4.382
Mg 0.000 1.653 0.897
Mg 0.000 4.803 6.323
Mg 2.284 4.649 4.382
Mg 2.284 1.500 9.807
B 2.284 0.000 7.804
B 2.284 3.149 2.378
Ti 0.000 3.149 3.364
Ti 0.000 0.000 8.790
```

Output
Size of the total moment ... 0.64 μB/f.u.
Final energy ... -2.68 eV per atom
Formation energy from the elements ... 0.34 eV/atom
Energy above the lowest structure with this stoichiometry ... 0 meV/atom

Entry from the Materials Project database: a relaxed Li3CeGa8 crystal (PBE-GGA).

Structure (extended XYZ):
```
12
Lattice="9.161 0.000 0.000 -4.580 7.933 0.000 0.000 0.000 3.044" Properties=species:S:1:pos:R:3 pbc="T T T"
Li -2.290 3.967 0.000
Li 4.580 0.000 0.000
Li 2.290 3.967 0.000
Ce 0.000 0.000 0.000
Ga 0.000 2.743 1.522
Ga -2.205 6.562 1.522
Ga 0.000 5.289 1.522
Ga 2.376 1.372 1.522
Ga 2.205 6.562 1.522
Ga 4.580 2.644 1.522
Ga 6.785 1.372 1.522
Ga 4.580 5.190 1.522
```

Output
Size of the total moment ... 0.11 μB/f.u.
Final energy ... -3.27 eV per atom
Formation energy from the elements ... -0.28 eV/atom
Energy above the lowest structure with this stoichiometry ... 55 meV/atom

Entry from the Materials Project database: a relaxed MgSi2 crystal (PBE-GGA).

Structure (extended XYZ):
```
24
Lattice="5.988 0.000 0.000 0.000 7.152 0.000 0.000 0.000 9.800" Properties=species:S:1:pos:R:3 pbc="T T T"
Mg 1.399 0.481 1.650
Mg 1.491 3.753 8.422
Mg 1.503 3.399 3.522
Mg 1.595 6.671 6.550
Mg 4.394 3.095 8.151
Mg 4.486 6.975 1.378
Mg 4.497 0.177 6.278
Mg 4.589 4.057 3.250
Si 0.250 4.889 0.998
Si 0.281 1.062 8.687
Si 0.313 6.087 4.031
Si 0.366 2.266 6.144
Si 2.628 4.885 1.244
Si 2.681 1.065 8.932
Si 2.713 6.090 3.786
Si 2.744 2.263 5.898
Si 3.244 5.839 8.802
Si 3.275 2.514 1.114
Si 3.308 4.641 5.769
Si 3.360 1.310 3.656
Si 5.622 5.842 8.556
Si 5.675 2.511 0.869
Si 5.707 4.638 6.014
Si 5.738 1.313 3.902
```

Output
Size of the total moment ... 0.00 μB/f.u.
Final energy ... -4.03 eV per atom
Formation energy from the elements ... 0.17 eV/atom
Energy above the lowest structure with this stoichiometry ... 94 meV/atom

Entry from the Materials Project database: a relaxed KAlH4 crystal (PBE-GGA).

Structure (extended XYZ):
```
24
Lattice="8.852 0.000 0.000 0.000 5.828 0.000 0.000 0.000 7.370" Properties=species:S:1:pos:R:3 pbc="T T T"
K 1.583 1.457 1.230
K 2.843 4.371 4.915
K 6.009 1.457 2.455
K 7.269 4.371 6.140
Al 0.594 1.457 4.997
Al 3.831 4.371 1.311
Al 5.020 1.457 6.059
Al 8.257 4.371 2.374
H 0.668 0.136 5.962
H 0.668 2.778 5.962
H 0.798 4.371 3.216
H 1.898 1.457 4.013
H 2.528 4.371 0.328
H 3.627 1.457 6.901
H 3.758 3.050 2.277
H 3.758 5.692 2.277
H 5.093 0.136 5.093
H 5.093 2.778 5.093
H 5.224 4.371 0.469
H 6.324 1.457 7.042
H 6.953 4.371 3.357
H 8.053 1.457 4.154
H 8.184 3.050 1.408
H 8.184 5.692 1.408
```

Output
Final energy ... -3.27 eV per atom
Formation energy from the elements ... -0.31 eV/atom

Entry from the Materials Project database: a relaxed K3TlPCO7 crystal (PBE-GGA).

Structure (extended XYZ):
```
26
Lattice="5.760 0.000 0.000 0.000 7.480 0.000 -0.219 0.000 10.167" Properties=species:S:1:pos:R:3 pbc="T T T"
K 1.281 1.870 4.252
K 1.282 7.478 7.709
K 1.282 3.742 7.709
K 4.260 0.002 2.459
K 4.260 3.738 2.459
K 4.261 5.610 5.915
Tl 1.303 5.610 1.317
Tl 4.239 1.870 8.850
P 1.677 1.870 0.901
P 3.865 5.610 9.266
C 1.410 5.610 4.422
C 4.132 1.870 5.745
O 0.257 5.610 3.805
O 0.892 1.870 9.621
O 1.209 0.632 1.741
O 1.209 3.108 1.741
O 1.449 5.610 5.721
O 2.300 5.610 9.341
O 2.524 5.610 3.736
O 3.018 1.870 6.432
O 3.242 1.870 0.826
O 4.092 1.870 4.446
O 4.333 4.372 8.426
O 4.333 6.848 8.426
O 4.650 5.610 0.547
O 5.285 1.870 6.362
```

Output
Size of the total moment ... 0.22 μB/f.u.
Final energy ... -6.03 eV per atom
Formation energy from the elements ... -2.17 eV/atom

Entry from the Materials Project database: a relaxed Rb3SbF6 crystal (PBE-GGA).

Structure (extended XYZ):
```
10
Lattice="7.234 0.000 0.000 -1.862 7.019 0.000 -1.713 -2.216 6.717" Properties=species:S:1:pos:R:3 pbc="T T T"
Rb 0.000 0.000 0.000
Rb -1.787 2.402 3.359
Rb 2.761 -1.108 3.359
Sb -0.856 -1.108 3.359
F -1.549 4.814 1.833
F -1.361 4.941 4.824
F 0.498 0.577 2.905
F 3.162 4.226 3.812
F 5.021 -0.138 1.893
F 5.209 -0.010 4.884
```

Output
Size of the total moment ... 0.00 μB/f.u.
Final energy ... -4.37 eV per atom
Formation energy from the elements ... -2.79 eV/atom

Entry from the Materials Project database: a relaxed BaDyCuTe3 crystal (PBE-GGA).

Structure (extended XYZ):
```
12
Lattice="2.220 -7.499 0.000 2.220 7.499 0.000 0.000 0.000 11.435" Properties=species:S:1:pos:R:3 pbc="T T T"
Ba 2.220 3.760 8.576
Ba 2.220 -3.760 2.859
Dy 0.000 0.000 0.000
Dy 0.000 0.000 5.718
Cu 2.220 0.481 2.859
Cu 2.220 -0.481 8.576
Te 2.220 6.443 2.859
Te 2.220 2.040 0.699
Te 2.220 2.040 5.018
Te 2.220 -2.040 6.417
Te 2.220 -2.040 10.736
Te 2.220 -6.443 8.576
```

Output
Size of the total moment ... 0.00 μB/f.u.
Final energy ... -4.58 eV per atom
Formation energy from the elements ... -1.45 eV/atom

Entry from the Materials Project database: a relaxed Tm6MnGe2S14 crystal (PBE-GGA).

Structure (extended XYZ):
```
23
Lattice="9.740 0.000 0.000 -4.870 8.435 0.000 0.000 0.000 5.741" Properties=species:S:1:pos:R:3 pbc="T T T"
Tm -2.496 4.714 0.000
Tm 2.493 0.902 2.909
Tm 2.036 3.917 0.000
Tm 0.460 8.240 0.000
Tm 4.405 5.825 2.909
Tm 7.712 1.708 2.909
Mn 4.870 2.812 1.646
Ge 0.000 0.000 5.331
Ge 0.000 5.623 2.415
S 0.000 0.000 1.777
S -3.298 7.160 4.367
S 0.318 1.999 4.367
S -0.313 3.624 1.463
S -1.575 6.894 1.463
S 0.000 5.623 4.608
S 3.179 1.514 0.330
S 2.891 3.605 3.091
S 1.888 6.352 1.463
S 5.173 0.701 3.091
S 4.592 4.925 0.330
S 2.980 7.711 4.367
S 6.839 1.996 0.330
S 6.546 4.129 3.091
```

Output
Size of the total moment ... 5.00 μB/f.u.
Final energy ... -5.95 eV per atom
Formation energy from the elements ... -1.77 eV/atom

Entry from the Materials Project database: a relaxed Ba2LaBiO6 crystal (PBE-GGA).

Structure (extended XYZ):
```
10
Lattice="0.000 4.470 4.470 4.470 0.000 4.470 4.470 4.470 0.000" Properties=species:S:1:pos:R:3 pbc="T T T"
Ba 2.235 2.235 2.235
Ba 6.704 6.704 6.704
La 0.000 0.000 0.000
Bi 4.470 4.470 4.470
O 4.470 4.470 2.336
O 4.470 2.336 4.470
O 6.603 4.470 4.470
O 2.336 4.470 4.470
O 4.470 6.603 4.470
O 4.470 4.470 6.603
```

Output
Size of the total moment ... 0.00 μB/f.u.
Final energy ... -6.58 eV per atom
Formation energy from the elements ... -2.76 eV/atom

Entry from the Materials Project database: a relaxed DyPd2Pb crystal (PBE-GGA).

Structure (extended XYZ):
```
4
Lattice="0.000 3.449 3.449 3.449 0.000 3.449 3.449 3.449 0.000" Properties=species:S:1:pos:R:3 pbc="T T T"
Dy 0.000 0.000 0.000
Pd 1.725 1.725 1.725
Pd 5.174 5.174 5.174
Pb 3.449 3.449 3.449
```

Output
Final energy ... -5.37 eV per atom
Formation energy from the elements ... -0.70 eV/atom

Entry from the Materials Project database: a relaxed BaCrCu3Se4 crystal (PBE-GGA).

Structure (extended XYZ):
```
9
Lattice="6.173 0.000 0.000 0.000 6.173 0.000 0.000 0.000 6.173" Properties=species:S:1:pos:R:3 pbc="T T T"
Ba 0.000 0.000 0.000
Cr 3.087 3.087 3.087
Cu 0.000 3.087 3.087
Cu 3.087 0.000 3.087
Cu 3.087 3.087 0.000
Se 1.730 1.730 4.443
Se 1.730 4.443 1.730
Se 4.443 1.730 1.730
Se 4.443 4.443 4.443
```

Output
Size of the total moment ... 3.00 μB/f.u.
Final energy ... -4.67 eV per atom
Formation energy from the elements ... -0.67 eV/atom

Entry from the Materials Project database: a relaxed Na2Hf2Zr2Si3S3O24 crystal (PBE-GGA).

Structure (extended XYZ):
```
108
Lattice="8.965 0.000 0.000 4.482 7.789 0.000 0.144 0.210 23.510" Properties=species:S:1:pos:R:3 pbc="T T T"
Na 0.000 0.000 0.000
Na 4.595 7.681 11.938
Na 4.515 2.672 7.853
Na 4.647 2.544 19.785
Na 9.095 5.430 15.797
Na 9.209 4.977 3.736
Hf 0.154 0.103 3.391
Hf 4.743 7.792 8.362
Hf 4.778 2.740 11.391
Hf 4.823 2.776 23.093
Hf 9.296 5.360 12.346
Hf 9.323 5.098 7.391
Zr 0.363 0.223 20.194
Zr 4.812 7.762 15.215
Zr 4.620 2.655 4.368
Zr 4.829 2.587 16.177
Zr 9.311 5.430 19.262
Zr 9.294 5.039 0.519
Si 1.554 2.218 5.940
Si 3.409 4.879 1.993
Si 7.406 7.870 17.673
Si 6.087 4.911 13.760
Si 7.244 2.626 2.013
Si 6.094 0.435 13.716
Si 10.582 7.650 21.643
Si 10.641 3.080 21.576
Si 11.848 5.197 9.847
S 3.472 5.608 17.686
S 2.153 2.679 13.739
S 6.022 5.550 5.963
S 3.377 0.300 2.022
S 6.677 5.322 21.620
S 7.919 7.466 9.819
S 7.917 2.966 9.835
S 7.977 2.376 17.667
S 11.083 7.780 5.965
O 12.678 6.425 16.451
O 3.821 6.537 9.652
O 0.909 1.471 4.655
O 1.006 1.573 21.471
O 1.175 1.347 7.285
O 4.018 6.265 18.872
O 1.291 1.491 13.865
O 4.138 6.321 2.256
O 2.966 2.903 14.944
O 3.635 3.954 3.358
O 2.995 2.478 12.528
O 3.281 2.954 21.732
O 3.807 3.848 9.955
O 4.087 4.272 17.533
O 4.004 4.117 0.701
O 5.439 6.420 13.856
O 1.894 0.181 2.195
O 3.177 2.378 5.885
O 1.959 0.233 18.975
O 5.420 6.205 7.182
O 6.434 7.736 16.343
O 5.785 6.501 21.460
O 6.424 7.600 9.687
O 5.759 6.332 4.762
O 5.386 4.223 12.432
O 3.596 1.122 0.820
O 3.837 1.448 17.549
O 5.426 4.191 5.900
O 3.953 0.943 3.242
O 5.750 4.050 15.090
O 4.032 1.020 9.949
O 5.835 4.111 21.726
O 7.498 5.533 22.811
O 8.145 6.649 11.037
O 7.494 5.442 6.178
O 7.498 5.141 20.393
O 8.463 6.795 8.620
O 8.438 6.756 1.909
O 8.336 6.523 17.754
O 5.470 1.352 21.766
O 5.400 1.093 15.044
O 6.343 2.698 3.395
O 7.695 5.015 13.513
O 6.441 2.808 9.939
O 5.704 1.298 12.384
O 6.312 2.352 0.721
O 6.485 2.517 17.576
O 5.768 1.192 5.880
O 8.131 3.979 1.922
O 9.907 6.951 20.295
O 8.160 3.795 8.617
O 9.912 6.717 13.581
O 10.243 6.732 22.937
O 10.193 6.585 6.145
O 8.497 3.586 11.025
O 8.590 3.708 17.775
O 8.218 1.562 18.882
O 7.479 0.119 7.168
O 8.237 1.300 2.167
O 7.703 0.328 13.887
O 8.496 1.700 16.460
O 11.890 7.537 4.757
O 8.522 1.608 9.653
O 9.808 3.722 6.108
O 12.201 7.701 21.415
O 10.876 5.400 11.135
O 9.951 3.729 22.908
O 10.957 5.464 17.764
O 10.752 5.068 1.936
O 10.866 5.028 8.523
O 10.260 3.950 20.241
O 10.249 3.873 13.555
```

Output
Size of the total moment ... 0.00 μB/f.u.
Final energy ... -7.67 eV per atom
Formation energy from the elements ... -2.93 eV/atom